NaBS2 | PBE-GGA | optimized geometry

a = 9.1441 Å, b = 9.1441 Å, c = 9.1441 Å
α = 112.57°, β = 112.57°, γ = 112.57°
With the nearest neighbours (Å) after each atom.
Fractional positions:
Na 0.2147 0.7500 0.2853  6 S 2.95-3.12
Na 0.2500 0.7147 0.7853  6 S 2.95-3.12
Na 0.2853 0.2147 0.7500  6 S 2.95-3.12
Na 0.7147 0.7853 0.2500  6 S 2.95-3.12
Na 0.7500 0.2853 0.2147  6 S 2.95-3.12
Na 0.7853 0.2500 0.7147  6 S 2.95-3.12
B 0.1326 0.2500 0.3674  3 S 1.78-1.83
B 0.2500 0.3674 0.1326  3 S 1.78-1.83
B 0.3674 0.1326 0.2500  3 S 1.78-1.83
B 0.6326 0.8674 0.7500  3 S 1.78-1.83
B 0.7500 0.6326 0.8674  3 S 1.78-1.83
B 0.8674 0.7500 0.6326  3 S 1.78-1.83
S 0.0159 0.2500 0.4841  1 B 1.78
S 0.1271 0.3729 0.2500  2 B 1.83
S 0.2500 0.1271 0.3729  2 B 1.83
S 0.2500 0.4841 0.0159  1 B 1.78
S 0.3729 0.2500 0.1271  2 B 1.83
S 0.4841 0.0159 0.2500  1 B 1.78
S 0.5159 0.9841 0.7500  1 B 1.78
S 0.6271 0.7500 0.8729  2 B 1.83
S 0.7500 0.5159 0.9841  1 B 1.78
S 0.7500 0.8729 0.6271  2 B 1.83
S 0.8729 0.6271 0.7500  2 B 1.83
S 0.9841 0.7500 0.5159  1 B 1.78

## Properties
As for the space group: R-3c. As for the calculated volume: 21.3 A^3/atom. The energy of formation is -1.024 eV per atom.

=====

Na6B18Se17 | PBE-GGA | optimized geometry

a = 12.3584 Å, b = 12.3584 Å, c = 11.3704 Å
α = 90.99°, β = 90.99°, γ = 85.17°
With the nearest neighbours (Å) after each atom.
Fractional positions:
Na 0.0000 0.0000 0.0000  4 Se 2.94-3.09
Na 0.0000 0.0000 0.5000  4 Se 2.94-3.09
Na 0.1455 0.3641 0.9489  4 Se 2.94-3.08, 1 B 3.25
Na 0.2582 0.6883 0.9257  4 Se 2.94-3.16, 1 B 3.13
Na 0.3130 0.7422 0.5745  4 Se 2.94-3.16, 1 B 3.12
Na 0.3641 0.1455 0.4489  4 Se 2.94-3.08, 1 B 3.25
Na 0.4220 0.5273 0.2786  2 Se 2.85-2.86
Na 0.5273 0.4220 0.7786  2 Se 2.85-2.86
Na 0.6359 0.8535 0.5509  4 Se 2.95-3.07, 1 B 3.24
Na 0.6883 0.2582 0.4257  4 Se 2.94-3.16, 1 B 3.13
Na 0.7422 0.3130 0.0745  4 Se 2.94-3.16, 1 B 3.12
Na 0.8535 0.6359 0.0509  4 Se 2.95-3.07, 1 B 3.24
B 0.0045 0.4950 0.3513  5 B 1.77-1.79
B 0.0199 0.6209 0.5678  5 B 1.77-1.79
B 0.0219 0.6864 0.8228  3 Se 1.93-1.99
B 0.0506 0.3868 0.5704  5 B 1.76-1.79
B 0.0589 0.7791 0.3097  3 Se 1.96-1.99
B 0.0899 0.5755 0.4373  5 B 1.76-1.79
B 0.1109 0.4314 0.4402  5 B 1.77-1.79
B 0.1200 0.5077 0.5728  5 B 1.77-1.79
B 0.2211 0.9408 0.1896  3 Se 1.95-1.99
B 0.3135 0.9783 0.6771  3 Se 1.93-1.99
B 0.3423 0.4005 0.5258  3 Se 1.91-2.00
B 0.3791 0.9800 0.9321  5 B 1.77-1.79
B 0.3868 0.0506 0.0704  5 B 1.76-1.79
B 0.4005 0.3423 0.0258  3 Se 1.91-2.00
B 0.4246 0.9100 0.0628  5 B 1.76-1.79
B 0.4314 0.1109 0.9402  5 B 1.77-1.79
B 0.4921 0.8796 0.9273  5 B 1.77-1.79
B 0.4950 0.0045 0.8513  5 B 1.77-1.79
B 0.5050 0.9952 0.1486  5 B 1.77-1.79
B 0.5077 0.1200 0.0728  5 B 1.77-1.79
B 0.5690 0.8887 0.0595  5 B 1.77-1.79
B 0.5755 0.0899 0.9373  5 B 1.76-1.79
B 0.5989 0.6574 0.9750  3 Se 1.92-2.01
B 0.6130 0.9495 0.9295  5 B 1.76-1.79
B 0.6209 0.0199 0.0678  5 B 1.77-1.79
B 0.6574 0.5989 0.4750  3 Se 1.92-2.01
B 0.6864 0.0219 0.3228  3 Se 1.93-1.99
B 0.7791 0.0589 0.8097  3 Se 1.96-1.99
B 0.8796 0.4921 0.4273  5 B 1.77-1.79
B 0.8887 0.5690 0.5595  5 B 1.77-1.79
B 0.9100 0.4246 0.5628  5 B 1.76-1.79
B 0.9408 0.2211 0.6896  3 Se 1.95-1.99
B 0.9495 0.6130 0.4295  5 B 1.76-1.79
B 0.9783 0.3135 0.1771  3 Se 1.93-1.99
B 0.9800 0.3791 0.4321  5 B 1.77-1.79
B 0.9952 0.5050 0.6486  5 B 1.77-1.79
Se 0.0081 0.4691 0.1761  2 B 1.99-2.01
Se 0.0300 0.7620 0.9721  1 B 1.93
Se 0.0449 0.7534 0.6684  2 B 1.99-2.02
Se 0.0728 0.9273 0.2500  2 B 1.99
Se 0.0916 0.2493 0.6603  2 B 1.96-2.02
Se 0.1820 0.6765 0.3532  2 B 1.96-2.02
Se 0.2379 0.9701 0.5278  1 B 1.93
Se 0.2465 0.9554 0.8315  2 B 1.99-2.02
Se 0.2493 0.0916 0.1603  2 B 1.96-2.02
Se 0.2552 0.3627 0.3840  2 B 1.99-2.02
Se 0.2709 0.5030 0.6449  2 B 2.00-2.02
Se 0.3236 0.8179 0.1473  2 B 1.95-2.02
Se 0.3345 0.4868 0.0487  1 B 1.91
Se 0.3627 0.2552 0.8840  2 B 1.99-2.02
Se 0.4691 0.0081 0.6761  2 B 1.99-2.01
Se 0.4868 0.3345 0.5487  1 B 1.91
Se 0.4973 0.7291 0.8545  2 B 2.01-2.02
Se 0.5030 0.2709 0.1449  2 B 2.00-2.02
Se 0.5133 0.6662 0.4498  1 B 1.92
Se 0.5308 0.9922 0.3238  2 B 1.99-2.01
Se 0.6372 0.7445 0.1157  2 B 1.99-2.02
Se 0.6662 0.5133 0.9498  1 B 1.92
Se 0.6765 0.1820 0.8532  2 B 1.96-2.02
Se 0.7291 0.4973 0.3545  2 B 2.01-2.02
Se 0.7445 0.6372 0.6157  2 B 1.99-2.02
Se 0.7506 0.9087 0.8397  2 B 1.96-2.02
Se 0.7534 0.0449 0.1684  2 B 1.99-2.02
Se 0.7620 0.0300 0.4721  1 B 1.93
Se 0.8179 0.3236 0.6473  2 B 1.95-2.02
Se 0.9087 0.7506 0.3397  2 B 1.96-2.02
Se 0.9273 0.0728 0.7500  2 B 1.99
Se 0.9554 0.2465 0.3315  2 B 1.99-2.02
Se 0.9701 0.2379 0.0278  1 B 1.93
Se 0.9922 0.5308 0.8238  2 B 1.99-2.01

## Properties
As for the space group: Cc. As for the calculated volume: 21.1 A^3/atom. The energy of formation is -0.640 eV per atom.

=====

Na2B2Se7 | PBE-GGA | optimized geometry

a = 8.2830 Å, b = 8.2830 Å, c = 12.0704 Å
α = 116.36°, β = 116.36°, γ = 49.00°
With the nearest neighbours (Å) after each atom.
Fractional positions:
Na 0.1066 0.6733 0.9570  6 Se 3.07-3.42
Na 0.3267 0.8934 0.5430  6 Se 3.07-3.42
Na 0.6733 0.1066 0.4570  6 Se 3.07-3.42
Na 0.8934 0.3267 0.0430  6 Se 3.07-3.42
B 0.1627 0.6022 0.6504  4 Se 2.05-2.07
B 0.3978 0.8373 0.8496  4 Se 2.05-2.07
B 0.6022 0.1627 0.1504  4 Se 2.05-2.07
B 0.8373 0.3978 0.3496  4 Se 2.05-2.07
Se 0.0838 0.0908 0.2761  1 B 2.05
Se 0.0908 0.0838 0.7761  1 B 2.05
Se 0.1448 0.3788 0.6683  1 B 2.06
Se 0.1990 0.5583 0.4802  1 B 2.05
Se 0.3788 0.1448 0.1683  1 B 2.06
Se 0.4417 0.8010 0.0198  1 B 2.05
Se 0.4754 0.5246 0.7500  2 B 2.07
Se 0.5246 0.4754 0.2500  2 B 2.07
Se 0.5583 0.1990 0.9802  1 B 2.05
Se 0.6212 0.8552 0.8317  1 B 2.06
Se 0.8010 0.4417 0.5198  1 B 2.05
Se 0.8552 0.6212 0.3317  1 B 2.06
Se 0.9092 0.9162 0.2239  1 B 2.05
Se 0.9162 0.9092 0.7239  1 B 2.05

## Properties
As for the space group: C2/c. As for the calculated volume: 24.8 A^3/atom. The energy of formation is -0.717 eV per atom.

=====

Na4B9Se9 | PBE-GGA | optimized geometry

a = 11.1441 Å, b = 16.4958 Å, c = 11.7089 Å
α = 90.00°, β = 118.05°, γ = 90.00°
With the nearest neighbours (Å) after each atom.
Fractional positions:
Na 0.0307 0.1233 0.0404  5 Se 2.91-3.12
Na 0.0307 0.3767 0.5404  5 Se 2.91-3.12
Na 0.0633 0.7421 0.2639  4 Se 3.06-3.20, 1 B 3.25
Na 0.0633 0.7579 0.7639  4 Se 3.06-3.20, 1 B 3.25
Na 0.1866 0.0778 0.7045  3 Se 2.84-3.08
Na 0.1866 0.4222 0.2045  3 Se 2.84-3.08
Na 0.4674 0.6600 0.4335  4 Se 3.01-3.25, 1 B 3.13
Na 0.4674 0.8400 0.9335  4 Se 3.01-3.25, 1 B 3.13
Na 0.5326 0.1600 0.0665  4 Se 3.01-3.25, 1 B 3.13
Na 0.5326 0.3400 0.5665  4 Se 3.01-3.25, 1 B 3.13
Na 0.8134 0.5778 0.7955  3 Se 2.84-3.08
Na 0.8134 0.9222 0.2955  3 Se 2.84-3.08
Na 0.9367 0.2421 0.2361  4 Se 3.06-3.20, 1 B 3.25
Na 0.9367 0.2579 0.7361  4 Se 3.06-3.20, 1 B 3.25
Na 0.9693 0.6233 0.4596  5 Se 2.91-3.12
Na 0.9693 0.8767 0.9596  5 Se 2.91-3.12
B 0.1769 0.6357 0.0110  3 Se 1.93-1.99
B 0.1769 0.8643 0.5110  3 Se 1.93-1.99
B 0.2818 0.2240 0.4401  3 Se 1.93-1.98
B 0.2818 0.2760 0.9401  3 Se 1.93-1.98
B 0.3037 0.5539 0.5888  3 Se 1.94-2.00
B 0.3037 0.9461 0.0888  3 Se 1.94-2.00
B 0.3456 0.0017 0.4952  5 B 1.77-1.79
B 0.3456 0.4983 0.9952  5 B 1.77-1.79
B 0.3698 0.5415 0.8691  5 B 1.76-1.79
B 0.3698 0.9585 0.3691  5 B 1.76-1.79
B 0.3841 0.0653 0.3930  5 B 1.76-1.79
B 0.3841 0.4347 0.8930  5 B 1.76-1.79
B 0.4401 0.5889 0.0246  5 B 1.77-1.79
B 0.4401 0.9111 0.5246  5 B 1.77-1.79
B 0.4632 0.0834 0.5611  5 B 1.76-1.79
B 0.4632 0.4166 0.0611  5 B 1.76-1.79
B 0.4995 0.5107 0.1443  5 B 1.76-1.79
B 0.4995 0.9893 0.6443  5 B 1.76-1.79
B 0.5005 0.0107 0.3557  5 B 1.76-1.79
B 0.5005 0.4893 0.8557  5 B 1.76-1.79
B 0.5367 0.5834 0.9389  5 B 1.76-1.79
B 0.5367 0.9166 0.4389  5 B 1.76-1.79
B 0.5599 0.0889 0.4754  5 B 1.77-1.79
B 0.5599 0.4111 0.9754  5 B 1.77-1.79
B 0.6159 0.5653 0.1070  5 B 1.76-1.79
B 0.6159 0.9347 0.6070  5 B 1.76-1.79
B 0.6302 0.0415 0.6309  5 B 1.76-1.79
B 0.6302 0.4585 0.1309  5 B 1.76-1.79
B 0.6544 0.5017 0.0048  5 B 1.77-1.79
B 0.6544 0.9983 0.5048  5 B 1.77-1.79
B 0.6963 0.0539 0.9112  3 Se 1.94-2.00
B 0.6963 0.4461 0.4112  3 Se 1.94-2.00
B 0.7182 0.7240 0.0599  3 Se 1.93-1.98
B 0.7182 0.7760 0.5599  3 Se 1.93-1.98
B 0.8231 0.1357 0.4890  3 Se 1.93-1.99
B 0.8231 0.3643 0.9890  3 Se 1.93-1.99
Se 0.0210 0.6958 0.9944  1 B 1.93
Se 0.0210 0.8042 0.4944  1 B 1.93
Se 0.1606 0.5164 0.9823  2 B 1.99-2.02
Se 0.1606 0.9836 0.4823  2 B 1.99-2.02
Se 0.2027 0.1691 0.9165  1 B 1.93
Se 0.2027 0.3309 0.4165  1 B 1.93
Se 0.2088 0.5770 0.4050  1 B 1.94
Se 0.2088 0.9230 0.9050  1 B 1.94
Se 0.2258 0.5881 0.7021  2 B 1.98-2.01
Se 0.2258 0.9119 0.2021  2 B 1.98-2.01
Se 0.2604 0.1570 0.2917  2 B 1.98-2.01
Se 0.2604 0.3430 0.7917  2 B 1.98-2.01
Se 0.3510 0.6888 0.0487  2 B 1.98-2.01
Se 0.3510 0.8112 0.5487  2 B 1.98-2.01
Se 0.4060 0.1851 0.6174  2 B 1.98-2.01
Se 0.4060 0.3149 0.1174  2 B 1.98-2.01
Se 0.4800 0.0061 0.1741  2 B 2.00-2.03
Se 0.4800 0.4939 0.6741  2 B 2.00-2.03
Se 0.5200 0.5061 0.3259  2 B 2.00-2.03
Se 0.5200 0.9939 0.8259  2 B 2.00-2.03
Se 0.5940 0.6851 0.8826  2 B 1.98-2.01
Se 0.5940 0.8149 0.3826  2 B 1.98-2.01
Se 0.6490 0.1888 0.4513  2 B 1.98-2.01
Se 0.6490 0.3112 0.9513  2 B 1.98-2.01
Se 0.7396 0.6570 0.2083  2 B 1.98-2.01
Se 0.7396 0.8430 0.7083  2 B 1.98-2.01
Se 0.7742 0.0881 0.7979  2 B 1.98-2.01
Se 0.7742 0.4119 0.2979  2 B 1.98-2.01
Se 0.7912 0.0770 0.0950  1 B 1.94
Se 0.7912 0.4230 0.5950  1 B 1.94
Se 0.7973 0.6691 0.5835  1 B 1.93
Se 0.7973 0.8309 0.0835  1 B 1.93
Se 0.8394 0.0164 0.5177  2 B 1.99-2.02
Se 0.8394 0.4836 0.0177  2 B 1.99-2.02
Se 0.9790 0.1958 0.5056  1 B 1.93
Se 0.9790 0.3042 0.0056  1 B 1.93

## Properties
As for the space group: P2_1/c. As for the calculated volume: 21.6 A^3/atom. The energy of formation is -0.684 eV per atom.

=====

Na3ThB24 | PBE-GGA | optimized geometry

a = 4.1467 Å, b = 4.1467 Å, c = 16.6344 Å
α = 90.00°, β = 90.00°, γ = 90.00°
With the nearest neighbours (Å) after each atom.
Fractional positions:
Na 0.0000 0.0000 0.0000  24 B 3.05-3.06
Na 0.0000 0.0000 0.2393  24 B 2.93-3.20
Na 0.0000 0.0000 0.7607  24 B 2.93-3.20
Th 0.0000 0.0000 0.5000  24 B 3.03-3.04
B 0.1990 0.5000 0.1256  5 B 1.65-1.77
B 0.1990 0.5000 0.8744  5 B 1.65-1.77
B 0.2008 0.5000 0.3771  5 B 1.67-1.77
B 0.2008 0.5000 0.6229  5 B 1.67-1.77
B 0.5000 0.1990 0.1256  5 B 1.65-1.77
B 0.5000 0.1990 0.8744  5 B 1.65-1.77
B 0.5000 0.2008 0.3771  5 B 1.67-1.77
B 0.5000 0.2008 0.6229  5 B 1.67-1.77
B 0.5000 0.5000 0.0498  5 B 1.66-1.77
B 0.5000 0.5000 0.2008  5 B 1.67-1.77
B 0.5000 0.5000 0.3010  5 B 1.67-1.77
B 0.5000 0.5000 0.4512  5 B 1.62-1.75
B 0.5000 0.5000 0.5488  5 B 1.62-1.75
B 0.5000 0.5000 0.6990  5 B 1.67-1.77
B 0.5000 0.5000 0.7992  5 B 1.67-1.77
B 0.5000 0.5000 0.9502  5 B 1.66-1.77
B 0.5000 0.7992 0.3771  5 B 1.67-1.77
B 0.5000 0.7992 0.6229  5 B 1.67-1.77
B 0.5000 0.8010 0.1256  5 B 1.65-1.77
B 0.5000 0.8010 0.8744  5 B 1.65-1.77
B 0.7992 0.5000 0.3771  5 B 1.67-1.77
B 0.7992 0.5000 0.6229  5 B 1.67-1.77
B 0.8010 0.5000 0.1256  5 B 1.65-1.77
B 0.8010 0.5000 0.8744  5 B 1.65-1.77

## Properties
As for the space group: P4/mmm. As for the calculated volume: 10.2 A^3/atom. The energy of formation is -0.185 eV per atom.

=====

NbB | PBE-GGA | optimized geometry

a = 4.6934 Å, b = 4.6934 Å, c = 3.1830 Å
α = 90.00°, β = 90.00°, γ = 138.60°
With the nearest neighbours (Å) after each atom.
Fractional positions:
Nb 0.1454 0.8546 0.7500  7 B 2.42-2.60
Nb 0.8546 0.1454 0.2500  7 B 2.42-2.60
B 0.4420 0.5580 0.7500  2 B 1.89
B 0.5580 0.4420 0.2500  2 B 1.89

## Properties
As for the space group: Cmcm. As for the calculated volume: 11.6 A^3/atom. The energy of formation is -0.770 eV per atom.